Computed, not measured: Rb2MgO2 after structural relaxation at the PBE level of DFT.

Calculated values
SG   Pbcn (60)
E_form   -1.907 eV/atom
Crystal system   orthorhombic
ΔE to the lowest computed polymorph   0.0 kJ/mol of atoms

abc: 11.0361 6.4781 5.5697
angles: 90.00 90.00 90.00
With the nearest neighbours (Å) after each atom.
Fractional coordinates of all 20 atoms:
O  0.0907  0.8321  0.4998  2 Mg 2.03
Mg  0.0000  0.0004  0.2500  4 O 2.03
O  0.4093  0.6679  0.9998  2 Mg 2.03
Rb  0.3455  0.1416  0.0018  5 O 2.82-3.15
Rb  0.8455  0.3584  0.9982  5 O 2.82-3.15
Mg  0.5000  0.4996  0.7500  4 O 2.03
O  0.5907  0.3321  0.0002  2 Mg 2.03
Rb  0.3455  0.8584  0.5018  5 O 2.82-3.15
Rb  0.6545  0.8584  0.9982  5 O 2.82-3.15
O  0.9093  0.1679  0.5002  2 Mg 2.03
O  0.9093  0.8321  0.0002  2 Mg 2.03
Rb  0.1545  0.6416  0.0018  5 O 2.82-3.15
O  0.0907  0.1679  0.9998  2 Mg 2.03
Rb  0.8455  0.6416  0.4982  5 O 2.82-3.15
Rb  0.1545  0.3584  0.5018  5 O 2.82-3.15
O  0.5907  0.6679  0.5002  2 Mg 2.03
Mg  0.5000  0.5004  0.2500  4 O 2.03
O  0.4093  0.3321  0.4998  2 Mg 2.03
Rb  0.6545  0.1416  0.4982  5 O 2.82-3.15
Mg  0.0000  0.9996  0.7500  4 O 2.03